Entry 1:
Crystalline Mg3Al2Si3O12 at its relaxed geometry, computed with PBE-GGA.

Structure (extended XYZ):
```
80
Lattice="-1.9486 -6.5344 7.3433 6.7584 6.6808 3.1799 -8.4404 4.7513 -2.5701" Properties=species:S:1:pos:R:3 pbc="T T T"
Mg -1.9960 -0.4275 2.5087
Mg -3.7818 -2.2840 4.9412
Mg 0.9922 1.4656 2.7070
Mg -1.7191 2.6351 0.7491
Mg 3.2830 3.1541 4.8174
Mg -4.0395 5.2520 0.1828
Mg -1.6346 5.3251 5.4444
Mg 0.1512 7.1816 3.0119
Mg -4.6228 3.4320 5.2461
Mg -1.9114 2.2625 7.2040
Mg -6.9136 1.7436 3.1357
Mg 0.4089 -0.3543 7.7703
Al 0.0000 0.0000 0.0000
Al -0.9743 -3.2672 3.6717
Al 3.3792 3.3404 1.5899
Al -4.2202 2.3757 -1.2850
Al 2.4049 0.0732 5.2616
Al -0.8410 5.7160 0.3049
Al -5.1945 -0.8916 2.3866
Al -1.8153 2.4488 3.9766
Si -0.7936 -0.3909 5.1395
Si -4.2023 0.5740 5.0936
Si -7.0277 3.3589 -0.0155
Si -1.0704 -3.4535 6.8991
Si 0.6858 2.7083 6.0107
Si -2.8370 5.2885 2.8136
Si -2.5601 8.3512 1.0540
Si 3.3971 1.5387 7.9686
Si -4.3163 2.1893 1.9424
Si 0.5717 4.3236 2.8595
Si -7.1905 -1.3191 4.8953
Si 3.5599 6.2167 3.0578
O -6.7148 -0.5865 3.4925
O 0.6491 9.1487 2.1185
O -3.1119 1.8097 5.2166
O -0.8232 3.1031 5.4648
O 0.2698 -2.7010 7.5062
O 2.4317 7.2189 2.3843
O 1.8510 -1.3470 9.1306
O -5.3547 0.9121 1.7963
O 0.3600 5.3042 4.1727
O -3.9530 3.0793 7.4873
O 0.4727 5.4549 1.6589
O -5.1972 3.1372 2.9703
O -3.9016 5.3377 6.1201
O 2.5661 0.3792 7.1344
O -1.1965 7.4180 1.0822
O 0.7395 -0.7787 5.6194
O -5.6034 1.4502 5.0834
O -1.4381 0.0239 6.6036
O 0.2756 1.9841 7.4384
O -1.7964 4.6021 7.5341
O -2.0340 6.4968 3.6051
O -7.6353 2.1379 0.9177
O -8.9318 0.8747 2.8402
O -2.7514 4.1073 3.9662
O 3.0842 5.4841 4.4607
O -4.2797 -4.2511 5.8346
O -0.5187 3.0879 2.7366
O -2.8073 1.7945 2.4883
O -3.9003 7.5986 0.4469
O -6.0623 -2.3213 5.5688
O -5.4816 6.2447 -1.1775
O 1.7241 3.9856 6.1568
O -3.9906 -0.4066 3.7804
O 0.3225 1.8183 0.4658
O -4.1032 -0.5573 6.2942
O 1.5667 1.7604 4.9828
O 0.2710 -0.4401 1.8330
O -6.1967 4.5185 0.8187
O -2.4340 -2.5203 6.8709
O -4.3701 5.6763 2.3337
O 1.9728 3.4474 2.8697
O -2.1925 4.8738 1.3495
O -3.9062 2.9136 0.5148
O -1.8342 0.2955 0.4190
O -1.5965 -1.5992 4.3481
O 4.0048 2.7597 7.0354
O 5.3013 4.0230 5.1130
O -0.8791 0.7903 3.9869
```

## Properties
Calculated volume   9.68 Å³/atom
Theoretical density   3.457 g/cm³
MP2020-corrected energy   -612.41 eV/cell

***

Entry 2:
Crystalline Mg2Al4Si5O18 at its relaxed geometry, computed with PBE-GGA.

Structure (extended XYZ):
```
58
Lattice="4.9151 -8.6336 0.0000 4.9151 8.6336 0.0000 0.0000 0.0000 9.4402" Properties=species:S:1:pos:R:3 pbc="T T T"
Mg 4.9151 2.8065 2.3600
Mg 4.9151 -2.8065 2.3600
Mg 4.9151 -2.8065 7.0801
Mg 4.9151 2.8065 7.0801
Al 2.4576 4.3168 2.3593
Al 2.4576 -4.3168 2.3608
Al 2.4576 -4.3168 7.0794
Al 2.4576 4.3168 7.0808
Al 3.0277 0.8700 4.7201
Al 6.8025 -0.8700 4.7201
Al 3.0277 -0.8700 0.0000
Al 6.8025 0.8700 0.0000
Si 4.1415 5.3150 4.7201
Si 5.6888 -5.3150 4.7201
Si 5.6888 5.3150 0.0000
Si 4.1415 -5.3150 0.0000
Si 4.9151 0.0000 7.0801
Si 4.9151 0.0000 2.3600
Si 7.5023 -2.3359 0.0000
Si 2.3280 2.3359 0.0000
Si 7.5023 2.3359 4.7201
Si 2.3280 -2.3359 4.7201
O 4.0919 1.0786 3.2940
O 3.0476 2.9947 8.1015
O 3.0476 -2.9947 3.3814
O 6.7826 2.9947 3.3814
O 5.6897 5.7981 4.7201
O 4.1406 -5.7981 4.7201
O 5.6897 -5.7981 0.0000
O 4.1406 5.7981 0.0000
O 2.4425 -0.7501 4.7201
O 7.3878 0.7501 4.7201
O 2.4425 0.7501 0.0000
O 7.3878 -0.7501 0.0000
O 1.8203 2.1063 4.7201
O 8.0099 -2.1063 4.7201
O 1.8203 -2.1063 0.0000
O 8.0099 2.1063 0.0000
O 6.7826 2.9947 6.0587
O 3.0476 -2.9947 6.0587
O 3.9029 -4.3664 1.3359
O 3.0476 2.9947 1.3387
O 3.9029 4.3664 3.3842
O 5.9274 -4.3664 3.3842
O 5.9274 4.3664 8.1043
O 3.9029 -4.3664 8.1043
O 5.9274 -4.3664 6.0560
O 3.9029 4.3664 6.0560
O 5.7383 1.0786 1.4260
O 4.0919 -1.0786 1.4260
O 5.7383 -1.0786 3.2940
O 5.9274 4.3664 1.3359
O 4.0919 -1.0786 8.0141
O 5.7383 1.0786 8.0141
O 4.0919 1.0786 6.1461
O 5.7383 -1.0786 6.1461
O 6.7826 -2.9947 1.3387
O 6.7826 -2.9947 8.1015
```

## Properties
Energy above the most stable polymorph in this dataset   0.00 eV per formula unit
Calculated volume   13.81 Å³/atom
Theoretical density   2.425 g/cm³
MP2020-corrected energy   -462.06 eV/cell

***

Entry 3:
Crystalline MgTi2Al4O10 at its relaxed geometry, computed with PBE-GGA.

Structure (extended XYZ):
```
17
Lattice="3.6631 -0.3084 0.0001 -1.4183 5.0637 -0.0344 -0.0056 -0.0671 9.7664" Properties=species:S:1:pos:R:3 pbc="T T T"
Mg 0.4088 4.8402 2.6200
Ti 0.1040 1.2207 0.5533
Ti 2.1495 3.6092 5.5150
Al 0.1331 1.5660 4.3164
Al 0.1503 1.7750 7.4189
Al 2.0764 2.7374 2.4021
Al 2.1292 3.3652 8.9807
O 0.0615 0.7193 5.9466
O 0.0299 0.3414 8.5543
O 0.2306 2.7237 2.5573
O 0.2683 3.1723 5.3485
O 0.2433 2.8770 9.0285
O 1.9520 1.2622 1.1946
O 1.9771 1.5595 3.9343
O 2.0424 2.3388 7.3570
O 2.1792 3.9582 1.0052
O 2.2206 4.4531 3.5297
```

## Properties
Energy above the most stable polymorph in this dataset   0.00 eV per formula unit
Calculated volume   10.40 Å³/atom
Theoretical density   3.642 g/cm³
MP2020-corrected energy   -136.72 eV/cell

***

Entry 4:
Crystalline MgTi2Al4O10 at its relaxed geometry, computed with PBE-GGA.

Structure (extended XYZ):
```
17
Lattice="3.5494 -0.2998 -0.0050 -1.3527 5.1469 0.5346 0.0845 1.0286 10.4513" Properties=species:S:1:pos:R:3 pbc="T T T"
Mg 0.4998 5.9467 10.8174
Ti 0.1502 1.7505 1.4722
Ti 2.1195 4.1348 6.2136
Al 0.1700 1.9571 4.6851
Al 0.1791 2.1806 7.7734
Al 2.1055 3.7392 3.2798
Al 2.1115 3.8784 9.7002
O 0.0977 1.1518 6.3128
O 2.2657 5.7168 9.5536
O 0.2621 3.0747 3.0218
O 0.3039 3.6900 6.5753
O 0.3373 4.0258 10.1967
O 1.9220 1.5795 0.7096
O 2.0021 2.4744 4.6939
O 2.0124 2.7310 8.2697
O 2.1777 4.6080 1.7235
O 2.2281 5.1606 4.4011
```

## Properties
Energy above the most stable polymorph in this dataset   0.50 eV per formula unit
Calculated volume   10.87 Å³/atom
Theoretical density   3.487 g/cm³
MP2020-corrected energy   -136.21 eV/cell

***

Entry 5:
Crystalline MgTi2Al4O10 at its relaxed geometry, computed with PBE-GGA.

Structure (extended XYZ):
```
17
Lattice="-0.2027 3.4974 -0.2776 -2.3668 -1.5515 4.4247 10.0453 0.9324 4.4129" Properties=species:S:1:pos:R:3 pbc="T T T"
Mg 4.9213 2.2149 2.0676
Ti 6.9740 0.7680 4.5839
Ti 0.5018 2.1103 3.9761
Al 3.1443 0.4479 3.3474
Al 4.3315 2.4303 5.2126
Al -0.3328 0.0876 1.3467
Al 7.8086 2.7906 7.2133
O 4.0288 0.6382 5.0996
O 3.4470 2.2400 3.4604
O -0.4368 1.8923 1.9148
O 7.9126 0.9860 6.6452
O 6.2235 0.5788 2.7489
O 1.2523 2.2994 5.8111
O 6.1174 2.5137 4.9587
O 1.3584 0.3646 3.6013
O 8.8498 0.8402 4.1244
O -1.3740 2.0380 4.4356
```

## Properties
Energy above the most stable polymorph in this dataset   0.39 eV per formula unit
Calculated volume   11.21 Å³/atom
Theoretical density   3.382 g/cm³
MP2020-corrected energy   -136.32 eV/cell

***

Entry 6:
Crystalline MgTi2Al4O10 at its relaxed geometry, computed with PBE-GGA.

Structure (extended XYZ):
```
17
Lattice="-0.7789 1.7094 3.0144 4.3746 -2.9686 0.7210 5.6141 7.5813 -2.8483" Properties=species:S:1:pos:R:3 pbc="T T T"
Mg 8.0621 3.6441 0.0204
Ti 5.8201 4.8317 -1.2375
Ti 3.4168 1.4747 2.1366
Al 3.3677 2.7768 -0.7067
Al 5.5296 3.4679 1.5542
Al 1.3217 0.0139 0.3313
Al 7.8332 6.5786 0.3855
O 6.0458 3.0179 -0.1498
O 3.6437 3.4345 1.0844
O 1.4319 0.4477 2.2065
O 7.8476 5.4510 -1.0639
O 3.8419 4.4887 -1.5542
O 5.3292 1.8723 2.4070
O 6.0072 5.3807 0.5925
O 2.9790 1.0588 0.1666
O 5.3224 6.4881 -2.3053
O 3.8283 -0.1545 3.1684
```

## Properties
Energy above the most stable polymorph in this dataset   0.86 eV per formula unit
Calculated volume   10.36 Å³/atom
Theoretical density   3.658 g/cm³
MP2020-corrected energy   -135.86 eV/cell

***

Entry 7:
Crystalline MgAl4Tl4O12 at its relaxed geometry, computed with PBE-GGA.

Structure (extended XYZ):
```
21
Lattice="5.4571 0.0898 0.1761 0.1109 5.4380 0.8181 0.2413 1.0982 9.4445" Properties=species:S:1:pos:R:3 pbc="T T T"
Mg 5.3361 1.8356 4.1213
Al 0.3009 3.6880 9.7053
Al 0.5730 4.1305 6.2313
Al 3.0171 6.2748 10.1543
Al 3.2246 0.8140 5.5059
Tl 0.2690 1.2181 7.4800
Tl 3.1152 3.6165 8.0908
Tl 2.6520 2.4933 2.2307
Tl 5.3188 4.9973 2.8976
O 0.4317 2.3068 2.1015
O 0.6902 2.4909 5.5763
O 1.5381 2.1608 9.1347
O 1.8709 4.9255 9.3724
O 2.1679 4.9138 6.4178
O 2.5623 4.6518 2.4201
O 3.3991 1.4878 7.1987
O 3.8588 1.5746 0.5931
O 3.3484 1.9869 4.2079
O 4.7205 5.4483 9.9723
O 4.9564 5.5187 5.9229
O 5.3533 3.7988 8.0119
```

## Properties
Energy above the most stable polymorph in this dataset   0.14 eV per formula unit
Calculated volume   13.10 Å³/atom
Theoretical density   6.892 g/cm³
MP2020-corrected energy   -131.59 eV/cell

***

Entry 8:
Crystalline MgAl4Tl4O12 at its relaxed geometry, computed with PBE-GGA.

Structure (extended XYZ):
```
21
Lattice="-4.1518 -3.8777 -0.1918 2.4630 -5.4034 0.7230 -0.9382 0.6180 7.8146" Properties=species:S:1:pos:R:3 pbc="T T T"
Mg -1.6511 -7.1641 2.3624
Al -3.7849 -5.7633 7.7330
Al -3.3733 -6.0344 4.3047
Al -3.1235 -1.9411 7.6406
Al -2.6812 -2.2325 3.9567
Tl 1.4259 -5.1209 6.5583
Tl -1.5632 -4.1424 6.1220
Tl -0.9439 -4.1141 2.2061
Tl -0.6735 -0.5118 1.9536
O 0.6787 -2.5660 2.2784
O -1.0385 -1.5180 4.3232
O -1.4277 -1.2616 7.5647
O -0.1036 -3.7378 7.7328
O 0.2416 -3.9653 4.8571
O -2.2094 -2.2305 1.9052
O -3.2103 -2.4393 5.7896
O -2.2218 -4.3772 0.3315
O -2.6316 -4.1072 3.7449
O -1.1510 -6.8829 0.5202
O -1.5932 -6.5916 4.2040
O -3.3041 -5.3894 6.0116
```

## Properties
Energy above the most stable polymorph in this dataset   1.11 eV per formula unit
Calculated volume   12.15 Å³/atom
Theoretical density   7.432 g/cm³
MP2020-corrected energy   -130.62 eV/cell

***

Entry 9:
Crystalline MgAl4Tl4O12 at its relaxed geometry, computed with PBE-GGA.

Structure (extended XYZ):
```
21
Lattice="5.7301 0.2755 0.3754 0.2894 5.9124 0.2289 0.6166 0.3281 8.4201" Properties=species:S:1:pos:R:3 pbc="T T T"
Mg 1.9515 1.6669 1.6258
Al 5.4510 3.0298 8.3399
Al 5.9155 3.5608 4.8240
Al 4.2417 5.9711 8.1304
Al 3.9104 0.8203 4.4285
Tl 1.2892 6.0666 6.2481
Tl 2.8934 3.1116 6.8490
Tl 3.1675 4.1501 3.3736
Tl 0.3607 5.2591 1.6118
O 1.3730 3.1511 2.8097
O 2.4583 1.5220 5.3467
O 1.3768 2.2902 8.3699
O 2.6327 5.2433 7.8380
O 1.6910 4.1504 5.2125
O 2.8064 0.4573 2.9505
O 4.9222 6.3469 6.5299
O 4.1641 1.7278 8.6960
O 4.8235 2.3079 4.0398
O 4.3762 4.2938 0.6411
O 4.9650 5.0391 4.3148
O 5.2156 3.2566 6.5819
```

## Properties
Energy above the most stable polymorph in this dataset   0.00 eV per formula unit
Calculated volume   13.47 Å³/atom
Theoretical density   6.703 g/cm³
MP2020-corrected energy   -131.73 eV/cell

***

Entry 10:
Crystalline MgAl4Tl4O12 at its relaxed geometry, computed with PBE-GGA.

Structure (extended XYZ):
```
21
Lattice="-2.7602 -2.8889 -4.3320 6.0863 0.1564 -0.8541 0.7365 -6.7264 4.0164" Properties=species:S:1:pos:R:3 pbc="T T T"
Mg 4.1669 -5.7846 1.1106
Al 0.3757 -3.0499 -4.5628
Al 0.6853 -5.8775 -2.8744
Al -0.8697 -1.3583 -1.8238
Al -0.5293 -4.4672 0.0325
Tl -1.4118 -7.7169 -1.1026
Tl 1.8592 -6.6375 0.1053
Tl 1.9596 -3.0202 -1.5632
Tl -2.2887 -4.4237 -3.1348
O 2.5751 -1.9145 0.1756
O 0.9138 -4.2909 1.1101
O 1.2099 -6.9948 2.7246
O 3.6883 -0.7262 -1.8730
O 4.0547 -4.0724 0.1251
O -0.2340 -2.7175 -0.6541
O -0.6553 -6.5976 0.6333
O -0.8111 -2.4546 -3.2701
O -0.5090 -5.2140 -1.6224
O 1.9873 -2.6915 -3.7501
O 2.2484 -5.0757 -2.3265
O 0.7973 -7.7868 -1.6247
```

## Properties
Energy above the most stable polymorph in this dataset   1.21 eV per formula unit
Calculated volume   12.59 Å³/atom
Theoretical density   7.170 g/cm³
MP2020-corrected energy   -130.52 eV/cell

***

Entry 11:
Crystalline Mg16Al12Os at its relaxed geometry, computed with PBE-GGA.

Structure (extended XYZ):
```
29
Lattice="-7.3949 -5.4563 1.9245 6.7181 -4.8839 -3.3022 2.8673 4.1103 7.4009" Properties=species:S:1:pos:R:3 pbc="T T T"
Mg 2.3724 -1.7799 -1.1749
Mg 1.6110 -4.6260 -1.3374
Mg -2.4962 -4.2795 0.2647
Mg -0.5616 -10.2552 -1.4077
Mg -3.4501 -2.0515 2.9160
Mg 0.2557 -5.8717 1.1119
Mg 4.9124 -1.6390 0.4664
Mg 0.9909 1.4467 2.6649
Mg 3.0105 -4.1417 1.3327
Mg -1.4624 -4.2891 3.0781
Mg -0.6644 0.6884 4.9868
Mg 3.8625 0.8132 3.3845
Mg 1.3669 -4.0228 3.8722
Mg -1.2787 -2.2879 5.3767
Mg 1.7440 -1.1835 4.8529
Mg 4.8824 -2.3001 3.6894
Al -1.9130 -7.3947 -0.4469
Al 0.5804 -7.5066 -1.4039
Al 4.6462 -4.2626 -1.0217
Al 0.2405 -3.0135 0.8606
Al -4.4122 -4.7752 2.4253
Al -0.4487 -1.4036 2.7763
Al 2.2560 -1.4111 1.9974
Al -4.2543 -1.9262 6.0607
Al 7.3098 -1.4116 2.0264
Al -2.5246 -0.2544 7.2262
Al 2.1863 1.4830 5.8156
Al 6.6082 0.2271 3.9765
Os -1.9524 -1.4405 0.5081
```

## Properties
Calculated volume   19.65 Å³/atom
Theoretical density   2.630 g/cm³

***

Entry 12:
Crystalline Mg16Al12P at its relaxed geometry, computed with PBE-GGA.

Structure (extended XYZ):
```
29
Lattice="-8.1745 0.4582 -3.8593 -0.9615 -2.3485 8.6883 3.9373 8.1380 -0.4430" Properties=species:S:1:pos:R:3 pbc="T T T"
Mg -5.1958 6.2442 4.3835
Mg -0.6357 -1.5215 5.6740
Mg -2.7493 4.3000 0.0807
Mg -2.0387 1.0329 4.9060
Mg -0.6351 5.7397 -1.8420
Mg -0.6993 3.5023 3.6470
Mg -5.9638 -0.6139 0.8925
Mg -5.3402 0.3092 -2.5099
Mg 0.9156 1.7043 5.7443
Mg -0.0573 5.2743 1.2127
Mg -4.9561 2.1681 -0.1690
Mg -3.9663 -1.3912 4.3673
Mg 2.5594 5.3182 -0.2817
Mg 2.2723 4.6084 3.2156
Mg -4.1416 1.3195 2.6760
Mg -3.9893 3.6129 -2.7881
Al -3.6418 6.5540 -1.8221
Al -3.5310 3.5818 4.4665
Al -1.0005 0.7463 7.8037
Al -7.7955 1.0784 -0.7234
Al -2.6059 5.5620 2.7422
Al -6.8816 3.0348 -2.4269
Al -6.6858 0.0380 3.8518
Al 0.8401 4.8100 5.9746
Al 0.7342 7.8638 -0.2788
Al -4.8931 4.1118 2.0970
Al 2.0798 7.3402 2.0621
Al -3.2601 -0.6864 7.1664
P -1.5190 1.8255 1.2815
```

## Properties
Calculated volume   19.98 Å³/atom
Theoretical density   2.131 g/cm³

***

| no. | formation energy (eV per atom) |
| --- | --- |
| 1 | -3.258 |
| 2 | -3.333 |
| 3 | -3.227 |
| 4 | -3.198 |
| 5 | -3.204 |
| 6 | -3.177 |
| 7 | -2.199 |
| 8 | -2.153 |
| 9 | -2.206 |
| 10 | -2.148 |
| 11 | -0.013 |
| 12 | -0.006 |